! K3CrC6N6 GGA-PBE relaxed; values from VASP
! MP2020-corrected energy, eV for the cell shown: -490.54
! Energy of formation, meV per atom: -266
! Total magnetization, μB/cell: 12.0
! Total energy, eV/atom: -7.529
&SYSTEM
  ibrav = 0, nat = 64, ntyp = 4
/
ATOMIC_SPECIES
N 14.01 N.upf
K 39.10 K.upf
C 12.01 C.upf
Cr 52.00 Cr.upf
ATOMIC_POSITIONS crystal
N 0.899 0.586 0.602
N 0.641 0.410 0.404
N 0.601 0.914 0.102
N 0.101 0.586 0.102
N 0.625 0.774 0.853
N 0.859 0.090 0.904
N 0.359 0.590 0.596
N 0.625 0.226 0.647
N 0.125 0.726 0.853
N 0.101 0.414 0.398
N 0.125 0.274 0.647
N 0.375 0.774 0.353
N 0.141 0.910 0.096
N 0.875 0.274 0.147
N 0.899 0.414 0.898
N 0.875 0.726 0.353
N 0.399 0.914 0.602
N 0.375 0.226 0.147
N 0.601 0.086 0.398
N 0.641 0.590 0.096
N 0.859 0.910 0.596
N 0.399 0.086 0.898
N 0.359 0.410 0.904
N 0.141 0.090 0.404
K 0.126 0.733 0.498
K 0.126 0.267 0.002
K 0.374 0.233 0.502
K 0.130 0.500 0.750
K 0.626 0.767 0.498
K 0.870 0.500 0.250
K 0.370 0.000 0.250
K 0.874 0.267 0.502
K 0.626 0.233 0.002
K 0.630 0.000 0.750
K 0.874 0.733 0.998
K 0.374 0.767 0.998
C 0.625 0.325 0.686
C 0.625 0.675 0.814
C 0.297 0.056 0.846
C 0.044 0.944 0.152
C 0.125 0.175 0.686
C 0.044 0.056 0.348
C 0.875 0.175 0.186
C 0.203 0.444 0.346
C 0.297 0.944 0.654
C 0.125 0.825 0.814
C 0.456 0.556 0.652
C 0.703 0.056 0.346
C 0.544 0.556 0.152
C 0.797 0.444 0.846
C 0.703 0.944 0.154
C 0.797 0.556 0.654
C 0.956 0.944 0.652
C 0.544 0.444 0.348
C 0.956 0.056 0.848
C 0.375 0.675 0.314
C 0.203 0.556 0.154
C 0.875 0.825 0.314
C 0.456 0.444 0.848
C 0.375 0.325 0.186
Cr 0.875 0.000 0.250
Cr 0.375 0.500 0.250
Cr 0.125 0.000 0.750
Cr 0.625 0.500 0.750
CELL_PARAMETERS angstrom
-5.202 -3.956 5.504
-6.027 -3.325 -8.086
7.602 -11.373 -0.990

=====

! Ba4Nb14O23 GGA-PBE relaxed; values from VASP
! MP2020-corrected energy, eV for the cell shown: -378.16
! Energy of formation, meV per atom: -2811
! Total energy, eV/atom: -8.838
&SYSTEM
  ibrav = 0, nat = 41, ntyp = 3
/
ATOMIC_SPECIES
O 16.00 O.upf
Nb 92.91 Nb.upf
Ba 137.33 Ba.upf
ATOMIC_POSITIONS crystal
O 0.930 0.731 0.500
O 0.269 0.070 0.500
O 0.830 0.830 0.000
O 0.170 0.170 0.000
O 0.864 0.468 0.500
O 0.532 0.136 0.500
O 0.468 0.864 0.500
O 0.970 0.364 0.000
O 0.662 0.662 0.500
O 0.500 0.500 0.000
O 0.338 0.338 0.500
O 0.304 0.696 0.000
O 0.136 0.532 0.500
O 0.364 0.970 0.000
O 0.696 0.304 0.000
O 0.100 0.900 0.000
O 0.731 0.930 0.500
O 0.030 0.636 0.000
O 0.404 0.596 0.500
O 0.636 0.030 0.000
O 0.596 0.404 0.500
O 0.900 0.100 0.000
O 0.070 0.269 0.500
Nb 0.362 0.960 0.500
Nb 0.000 0.000 0.000
Nb 0.837 0.837 0.500
Nb 0.100 0.900 0.500
Nb 0.702 0.298 0.500
Nb 0.796 0.204 0.000
Nb 0.163 0.163 0.500
Nb 0.638 0.040 0.500
Nb 0.900 0.100 0.500
Nb 0.960 0.362 0.500
Nb 0.040 0.638 0.500
Nb 0.298 0.702 0.500
Nb 0.204 0.796 0.000
Nb 0.500 0.500 0.500
Ba 0.771 0.568 0.000
Ba 0.432 0.229 0.000
Ba 0.568 0.771 0.000
Ba 0.229 0.432 0.000
CELL_PARAMETERS angstrom
-4.044 11.586 -0.334
-5.004 -8.116 -7.732
-2.922 -0.937 2.875

=====

! Na5La2Ta2Si3P3O24 GGA-PBE relaxed; values from VASP
! MP2020-corrected energy, eV for the cell shown: -924.60
! Energy of formation, meV per atom: -2993
! Total magnetization, μB/cell: 0.0
! Total energy, eV/atom: -7.480
&SYSTEM
  ibrav = 0, nat = 117, ntyp = 6
/
ATOMIC_SPECIES
O 16.00 O.upf
Na 22.99 Na.upf
P 30.97 P.upf
Si 28.09 Si.upf
Ta 180.95 Ta.upf
La 138.91 La.upf
ATOMIC_POSITIONS crystal
O 0.890 0.545 0.745
O 0.560 0.894 0.481
O 0.494 0.855 0.365
O 0.280 0.472 0.756
O 0.468 0.298 0.027
O 0.893 0.527 0.142
O 0.817 0.027 0.415
O 0.028 0.191 0.197
O 0.824 0.524 0.027
O 0.657 0.113 0.137
O 0.138 0.504 0.868
O 0.801 0.769 0.904
O 0.183 0.045 0.593
O 0.300 0.453 0.079
O 0.860 0.053 0.086
O 0.857 0.391 0.917
O 0.473 0.110 0.642
O 0.202 0.493 0.256
O 0.876 0.359 0.249
O 0.156 0.199 0.696
O 0.216 0.992 0.310
O 0.146 0.632 0.364
O 0.989 0.209 0.914
O 0.849 0.476 0.422
O 0.801 0.969 0.691
O 0.179 0.131 0.091
O 0.881 0.340 0.635
O 0.525 0.717 0.253
O 0.126 0.454 0.573
O 0.509 0.797 0.757
O 0.456 0.338 0.143
O 0.617 0.468 0.919
O 0.282 0.804 0.253
O 0.161 0.959 0.199
O 0.501 0.626 0.863
O 0.869 0.820 0.589
O 0.708 0.173 0.029
O 0.568 0.675 0.972
O 0.525 0.385 0.421
O 0.119 0.669 0.480
O 0.012 0.792 0.809
O 0.950 0.142 0.585
O 0.320 0.859 0.576
O 0.833 0.294 0.526
O 0.327 0.880 0.981
O 0.004 0.229 0.315
O 0.700 0.531 0.527
O 0.142 0.678 0.075
O 0.015 0.817 0.413
O 0.956 0.817 0.094
O 0.459 0.112 0.244
O 0.665 0.545 0.237
O 0.198 0.718 0.754
O 0.527 0.152 0.924
O 0.800 0.840 0.197
O 0.635 0.118 0.748
O 0.367 0.851 0.864
O 0.669 0.544 0.642
O 0.547 0.876 0.072
O 0.787 0.002 0.808
O 0.616 0.155 0.420
O 0.450 0.331 0.739
O 0.101 0.451 0.978
O 0.218 0.204 0.805
O 0.544 0.693 0.582
O 0.225 0.199 0.401
O 0.787 0.771 0.305
O 0.475 0.176 0.527
O 0.373 0.500 0.361
O 0.190 0.989 0.912
O 0.300 0.428 0.468
O 0.042 0.840 0.699
Na 0.981 0.985 0.497
Na 0.981 0.313 0.410
Na 0.353 0.652 0.168
Na 0.036 0.689 0.577
Na 0.344 0.641 0.666
Na 0.306 0.962 0.077
Na 0.990 0.639 0.241
Na 0.648 0.979 0.581
Na 0.996 0.686 0.914
Na 0.317 0.011 0.414
Na 0.675 0.318 0.835
Na 0.355 0.013 0.742
Na 0.668 0.330 0.333
Na 0.019 0.356 0.083
Na 0.997 0.005 0.999
P 0.278 0.304 0.749
P 0.023 0.385 0.918
P 0.286 0.975 0.252
P 0.353 0.377 0.413
P 0.691 0.716 0.248
P 0.026 0.717 0.752
P 0.953 0.313 0.580
P 0.623 0.639 0.914
P 0.688 0.049 0.081
Si 0.023 0.315 0.253
Si 0.354 0.315 0.085
Si 0.626 0.980 0.419
Si 0.685 0.644 0.585
Si 0.688 0.979 0.750
Si 0.026 0.653 0.420
Si 0.952 0.637 0.084
Si 0.363 0.047 0.584
Si 0.353 0.973 0.920
Ta 0.655 0.332 0.981
Ta 0.998 0.001 0.647
Ta 0.335 0.665 0.316
Ta 0.663 0.339 0.481
Ta 0.344 0.671 0.815
Ta 0.999 0.002 0.148
La 0.345 0.665 0.515
La 0.672 0.340 0.688
La 0.342 0.663 0.014
La 0.996 0.012 0.853
La 0.984 0.996 0.348
La 0.661 0.327 0.186
CELL_PARAMETERS angstrom
-7.714 1.188 5.140
7.195 -4.849 3.572
8.593 19.274 8.569

=====

Question: Which value of total energy does entry 1 give?
Answer: -7.529 eV/atom

=====

Question: The highest total energy belongs to which entry?
Answer: Na5La2Ta2Si3P3O24

=====

Question: total energy of number 3 (Na5La2Ta2Si3P3O24)?
Answer: -7.480 eV/atom